[1]
An optimized crystal structure of Ca3Mn2O12. Source: Materials Project, functional PBE with a Hubbard U.

Cell lengths 12.821, 12.821, 12.821 Å; angles 90.00, 90.00, 90.00 degrees
Space group Ia-3d (No. 230)
Inequivalent atoms, fractional coordinates:
Ca1 0.000 0.250 0.125
Mn1 0.000 0.000 0.000
O1 0.015 0.059 0.633

***

[2]
An optimized crystal structure of Sr3WO6. Source: Materials Project, functional PBE with a Hubbard U.

Cell lengths 5.894, 6.148, 10.309 Å; angles 90.00, 124.82, 90.00 degrees
Space group P2_1/c (No. 14)
Inequivalent atoms, fractional coordinates:
Sr1 0.000 0.000 0.000
Sr2 0.230 0.051 0.745
W1 0.500 0.000 0.500
O1 0.183 0.174 0.454
O2 0.266 0.736 0.432
O3 0.388 0.051 0.282

***

[3]
An optimized crystal structure of Sr2NdFeO6. Source: Materials Project, functional PBE with a Hubbard U.

Cell lengths 8.305, 8.305, 8.305 Å; angles 90.00, 90.00, 90.00 degrees
Space group Fm-3m (No. 225)
Inequivalent atoms, fractional coordinates:
Sr1 0.250 0.250 0.250
Nd1 0.000 0.000 0.000
Fe1 0.000 0.000 0.500
O1 0.000 0.000 0.273

***

[4]
An optimized crystal structure of Ce2TeMo6O45. Source: Materials Project, functional PBE with a Hubbard U.

Cell lengths 9.323, 10.076, 11.318 Å; angles 77.61, 84.80, 68.22 degrees
Space group P1 (No. 1)
Inequivalent atoms, fractional coordinates:
Ce1 0.000 0.000 0.000
Ce2 0.476 0.466 0.626
Te1 0.730 0.734 0.799
Mo1 0.035 0.513 0.665
Mo2 0.435 0.963 0.934
Mo3 0.496 0.058 0.626
Mo4 0.640 0.634 0.102
Mo5 0.828 0.839 0.497
Mo6 0.965 0.413 0.971
O1 0.030 0.820 0.149
O2 0.042 0.025 0.739
O3 0.062 0.341 0.647
O4 0.081 0.380 0.090
O5 0.088 0.466 0.840
O6 0.110 0.926 0.683
O7 0.120 0.393 0.355
O8 0.142 0.491 0.281
O9 0.218 0.540 0.617
O10 0.251 0.937 0.982
O11 0.346 0.551 0.932
O12 0.378 0.005 0.760
O13 0.383 0.084 0.506
O14 0.398 0.742 0.381
O15 0.403 0.864 0.325
O16 0.409 0.135 0.950
O17 0.409 0.448 0.880
O18 0.474 0.241 0.646
O19 0.480 0.596 0.161
O20 0.483 0.663 0.673
O21 0.520 0.656 0.449
O22 0.554 0.852 0.070
O23 0.558 0.720 0.900
O24 0.600 0.232 0.253
O25 0.614 0.812 0.645
O26 0.640 0.368 0.439
O27 0.649 0.941 0.823
O28 0.670 0.447 0.703
O29 0.685 0.200 0.162
O30 0.701 0.016 0.559
O31 0.726 0.871 0.368
O32 0.750 0.610 0.225
O33 0.761 0.453 0.043
O34 0.789 0.010 0.918
O35 0.789 0.289 0.457
O36 0.801 0.892 0.110
O37 0.818 0.527 0.778
O38 0.831 0.116 0.184
O39 0.847 0.656 0.956
O40 0.871 0.262 0.364
O41 0.906 0.750 0.705
O42 0.910 0.622 0.530
O43 0.980 0.793 0.954
O44 0.984 0.231 0.951
O45 0.992 0.877 0.451

***

no.,energy of formation (eV/atom)
1,-1.482
2,-2.991
3,-2.584
4,-0.713